Below is a relaxed LaH13C3S3O11 crystal, with properties calculated at the PBE level.

Unit cell a=5.2887 b=10.2339 c=13.1796 alpha=98.60 beta=91.45 gamma=104.02
With the nearest neighbours (Å) after each atom.
Fractional positions:
La  0.0289  0.0752  0.2437  7 O 2.46-2.58
La  0.9711  0.9248  0.7563  7 O 2.46-2.58
H  0.0375  0.6227  0.9813  1 C 1.10
H  0.0708  0.8371  0.5249  1 O 0.98
H  0.0842  0.4754  0.5894  1 C 1.09
H  0.1190  0.6548  0.2510  1 C 1.10
H  0.2306  0.1670  0.4807  1 O 0.98
H  0.2495  0.4258  0.9471  1 C 1.10
H  0.2815  0.4254  0.0841  1 C 1.10
H  0.3191  0.6108  0.5436  1 C 1.10
H  0.3620  0.7430  0.1754  1 C 1.10
H  0.4210  0.4737  0.5915  1 C 1.09
H  0.4484  0.6333  0.2557  1 C 1.10
H  0.4708  0.8984  0.8956  1 O 0.99
H  0.4790  0.9467  0.1094  1 O 0.99
H  0.5210  0.0533  0.8906  1 O 0.99
H  0.5292  0.1016  0.1044  1 O 0.99
H  0.5516  0.3667  0.7443  1 C 1.10
H  0.5790  0.5263  0.4085  1 C 1.09
H  0.6380  0.2570  0.8246  1 C 1.10
H  0.6809  0.3892  0.4564  1 C 1.10
H  0.7185  0.5746  0.9159  1 C 1.10
H  0.7505  0.5742  0.0529  1 C 1.10
H  0.7694  0.8330  0.5193  1 O 0.98
H  0.8810  0.3452  0.7490  1 C 1.10
H  0.9158  0.5246  0.4106  1 C 1.09
H  0.9292  0.1629  0.4751  1 O 0.98
H  0.9625  0.3773  0.0187  1 C 1.10
C  0.1685  0.3770  0.0117  3 H 1.10
C  0.2845  0.5393  0.5989  3 H 1.09-1.10
C  0.3265  0.7044  0.2482  3 H 1.10
C  0.6735  0.2956  0.7518  3 H 1.10
C  0.7155  0.4607  0.4011  3 H 1.09-1.10
C  0.8315  0.6230  0.9883  3 H 1.10
S  0.1845  0.2045  0.9887  3 O 1.48
S  0.3320  0.6354  0.7247  3 O 1.46-1.48
S  0.4204  0.8462  0.3488  3 O 1.47-1.48
S  0.5796  0.1538  0.6512  3 O 1.47-1.48
S  0.6680  0.3646  0.2753  3 O 1.46-1.48
S  0.8155  0.7955  0.0113  3 O 1.48
O  0.0365  0.1397  0.0694  1 S 1.48
O  0.0567  0.1474  0.8847  1 S 1.48
O  0.0866  0.1765  0.4363  2 H 0.98
O  0.1399  0.7194  0.7289  1 S 1.48
O  0.2370  0.9322  0.3380  1 S 1.48
O  0.2910  0.5389  0.7974  1 S 1.46
O  0.3084  0.0834  0.6671  1 S 1.48
O  0.3979  0.2782  0.2669  1 S 1.48
O  0.4016  0.7950  0.4479  1 S 1.47
O  0.4611  0.1993  0.9947  1 S 1.48
O  0.4880  0.9634  0.8462  2 H 0.99
O  0.5120  0.0366  0.1538  2 H 0.99
O  0.5389  0.8007  0.0053  1 S 1.48
O  0.5984  0.2050  0.5521  1 S 1.47
O  0.6021  0.7218  0.7331  1 S 1.48
O  0.6916  0.9166  0.3329  1 S 1.48
O  0.7090  0.4611  0.2026  1 S 1.46
O  0.7630  0.0678  0.6620  1 S 1.48
O  0.8601  0.2806  0.2711  1 S 1.48
O  0.9134  0.8235  0.5637  2 H 0.98
O  0.9433  0.8526  0.1153  1 S 1.48
O  0.9635  0.8603  0.9306  1 S 1.48

Computed properties:
M_tot = 0.00 μB/f.u.
formation enthalpy at 0 K = -1287 meV/atom

Below is a relaxed K2ZnP4H8O16 crystal, with properties calculated at the PBE level.

Unit cell a=6.9173 b=7.4354 c=7.6086 alpha=81.01 beta=73.96 gamma=83.55
With the nearest neighbours (Å) after each atom.
Fractional positions:
K  0.1078  0.2352  0.2974  6 O 2.78-2.96, 1 H 3.09
K  0.8922  0.7648  0.7026  6 O 2.78-2.96, 1 H 3.09
Zn  0.5000  0.0000  0.5000  6 O 2.11-2.13
P  0.2525  0.3126  0.7567  4 O 1.51-1.63
P  0.3202  0.7735  0.2445  4 O 1.52-1.62
P  0.6798  0.2265  0.7555  4 O 1.52-1.62
P  0.7475  0.6874  0.2433  4 O 1.51-1.63
H  0.0480  0.7745  0.0750  1 O 1.04
H  0.2488  0.5455  0.4654  1 O 1.04
H  0.3768  0.8318  0.8553  1 O 0.99
H  0.3913  0.6892  0.7155  1 O 0.99
H  0.6087  0.3108  0.2845  1 O 0.99
H  0.6232  0.1682  0.1447  1 O 0.99
H  0.7512  0.4545  0.5346  1 O 1.04
H  0.9520  0.2255  0.9250  1 O 1.04
O  0.0743  0.2881  0.9371  1 H 1.04
O  0.2331  0.5818  0.3324  1 H 1.04
O  0.2340  0.8517  0.0835  1 H 1.49, 1 P 1.52
O  0.2572  0.1744  0.6292  1 P 1.51
O  0.2585  0.5115  0.6674  1 P 1.53, 1 H 1.54
O  0.2905  0.8933  0.3951  1 P 1.52
O  0.4417  0.2688  0.8492  2 P 1.62-1.63
O  0.4554  0.7954  0.7339  2 H 0.99
O  0.5446  0.2046  0.2661  2 H 0.99
O  0.5583  0.7312  0.1508  2 P 1.62-1.63
O  0.7095  0.1067  0.6049  1 P 1.52
O  0.7415  0.4885  0.3326  1 P 1.53, 1 H 1.54
O  0.7428  0.8256  0.3708  1 P 1.51
O  0.7660  0.1483  0.9165  1 H 1.49, 1 P 1.52
O  0.7669  0.4182  0.6676  1 H 1.04
O  0.9257  0.7119  0.0629  1 H 1.04

Computed properties:
M_tot = 0.00 μB/f.u.
formation enthalpy at 0 K = -2111 meV/atom

Below is a relaxed Mg3Sb crystal, with properties calculated at the PBE level.

Unit cell a=5.6936 b=5.6936 c=5.6936 alpha=134.50 beta=134.50 gamma=66.31
With the nearest neighbours (Å) after each atom.
Fractional positions:
Mg  0.0000  0.0000  0.0000  4 Sb 3.11, 8 Mg 3.24
Mg  0.2500  0.7500  0.5000  8 Mg 3.11-3.24, 4 Sb 3.24
Mg  0.7500  0.2500  0.5000  8 Mg 3.11-3.24, 4 Sb 3.24
Sb  0.5000  0.5000  0.0000  12 Mg 3.11-3.24

Computed properties:
energy relative to the lowest polymorph listed for this composition = 0.14 eV per formula unit
M_tot = 0.00 μB/f.u.
formation enthalpy at 0 K = -182 meV/atom

Below is a relaxed Ba2PbS3O12 crystal, with properties calculated at the PBE level.

Unit cell a=8.8703 b=5.5443 c=21.6148 alpha=90.00 beta=90.28 gamma=90.00
With the nearest neighbours (Å) after each atom.
Fractional positions:
Ba  0.0000  0.0000  0.0000  8 O 2.73-2.94
Ba  0.9998  0.0000  0.3339  8 O 2.72-2.93
Ba  0.0012  0.0000  0.6677  8 O 2.77-2.94
Ba  0.3700  0.5000  0.1057  10 O 2.77-3.09
Ba  0.3699  0.5000  0.4397  10 O 2.78-3.09
Ba  0.5011  0.0000  0.6062  10 O 2.80-3.10
Ba  0.5024  0.0000  0.2726  10 O 2.80-3.11
Ba  0.5031  0.0000  0.9388  8 O 2.76-2.94
Pb  0.3780  0.5000  0.7741  8 O 2.71-2.97
Pb  0.8733  0.5000  0.1646  8 O 2.72-3.00
Pb  0.8736  0.5000  0.4981  8 O 2.71-3.02
Pb  0.8790  0.5000  0.8299  6 O 2.67-2.89
S  0.1152  0.0000  0.4913  4 O 1.48-1.51
S  0.1156  0.0000  0.1577  4 O 1.48-1.51
S  0.1201  0.0000  0.8247  4 O 1.47-1.52
S  0.2463  0.5000  0.2824  4 O 1.48-1.51
S  0.2459  0.5000  0.9475  4 O 1.48-1.50
S  0.2472  0.5000  0.6171  4 O 1.48-1.50
S  0.6200  0.0000  0.7820  4 O 1.47-1.52
S  0.6262  0.0000  0.1161  4 O 1.47-1.51
S  0.6262  0.0000  0.4495  4 O 1.47-1.51
S  0.7464  0.5000  0.6581  4 O 1.48-1.50
S  0.7482  0.5000  0.3238  4 O 1.48-1.50
S  0.7483  0.5000  0.9902  4 O 1.48-1.50
O  0.0931  0.5000  0.9199  1 S 1.48
O  0.0950  0.5000  0.2534  1 S 1.48
O  0.0965  0.2205  0.4509  1 S 1.51
O  0.0956  0.5000  0.5881  1 S 1.48
O  0.0965  0.7795  0.4509  1 S 1.51
O  0.0970  0.2205  0.1172  1 S 1.51
O  0.0970  0.7795  0.1172  1 S 1.51
O  0.1037  0.2216  0.7841  1 S 1.52
O  0.1037  0.7784  0.7841  1 S 1.52
O  0.2636  0.2813  0.3230  1 S 1.51
O  0.2636  0.7187  0.3230  1 S 1.51
O  0.2648  0.2812  0.6576  1 S 1.50
O  0.2650  0.2818  0.9881  1 S 1.50
O  0.2650  0.7182  0.9881  1 S 1.50
O  0.2648  0.7188  0.6576  1 S 1.50
O  0.2683  0.0000  0.5184  1 S 1.48
O  0.2685  0.0000  0.1849  1 S 1.48
O  0.2704  0.0000  0.8537  1 S 1.47
O  0.3677  0.5000  0.8999  1 S 1.50
O  0.3700  0.5000  0.2359  1 S 1.49
O  0.3703  0.5000  0.5702  1 S 1.49
O  0.4940  0.0000  0.7363  1 S 1.49
O  0.4975  0.0000  0.0713  1 S 1.49
O  0.4975  0.0000  0.4048  1 S 1.49
O  0.5940  0.5000  0.6858  1 S 1.48
O  0.5960  0.5000  0.0177  1 S 1.48
O  0.5961  0.5000  0.3513  1 S 1.48
O  0.6042  0.2215  0.8225  1 S 1.52
O  0.6042  0.7785  0.8225  1 S 1.52
O  0.6128  0.2202  0.1568  1 S 1.51
O  0.6130  0.2203  0.4902  1 S 1.51
O  0.6128  0.7798  0.1568  1 S 1.51
O  0.6130  0.7797  0.4902  1 S 1.51
O  0.7652  0.2816  0.6179  1 S 1.50
O  0.7652  0.7184  0.6179  1 S 1.50
O  0.7667  0.2815  0.2834  1 S 1.50
O  0.7669  0.2813  0.9499  1 S 1.50
O  0.7667  0.7185  0.2834  1 S 1.50
O  0.7669  0.7187  0.9499  1 S 1.50
O  0.7700  0.0000  0.7531  1 S 1.47
O  0.7734  0.0000  0.0852  1 S 1.47
O  0.7734  0.0000  0.4186  1 S 1.47
O  0.8687  0.5000  0.7064  1 S 1.50
O  0.8699  0.5000  0.0386  1 S 1.50
O  0.8700  0.5000  0.3720  1 S 1.50
O  0.9940  0.0000  0.2047  1 S 1.48
O  0.9938  0.0000  0.5384  1 S 1.48
O  0.9946  0.0000  0.8701  1 S 1.49

Computed properties:
M_tot = 0.00 μB/f.u.
formation enthalpy at 0 K = -2438 meV/atom

Below is a relaxed SbF5 crystal, with properties calculated at the PBE level.

Unit cell a=5.9554 b=5.9554 c=8.5510 alpha=90.00 beta=90.00 gamma=144.29
With the nearest neighbours (Å) after each atom.
Fractional positions:
Sb  0.0000  0.0000  0.0000  2 F 1.88
Sb  0.0000  0.0000  0.5000  2 F 1.88
F  0.0163  0.9837  0.7500  2 Sb 2.15, 4 F 2.36
F  0.1579  0.8421  0.0685  1 Sb 1.88
F  0.1579  0.8421  0.4315  1 Sb 1.88
F  0.4284  0.5716  0.0904  2 Sb 2.14, 3 F 2.24-2.36
F  0.4284  0.5716  0.4096  2 Sb 2.14, 3 F 2.24-2.36
F  0.5716  0.4284  0.5904  2 Sb 2.14, 3 F 2.24-2.36
F  0.5716  0.4284  0.9096  2 Sb 2.14, 3 F 2.24-2.36
F  0.8421  0.1579  0.5685  1 Sb 1.88
F  0.8421  0.1579  0.9315  1 Sb 1.88
F  0.9837  0.0163  0.2500  2 Sb 2.15, 4 F 2.36

Computed properties:
M_tot = 0.00 μB/f.u.
formation enthalpy at 0 K = -2311 meV/atom

Below is a relaxed Pm2SiHg crystal, with properties calculated at the PBE level.

Unit cell a=5.2436 b=5.2436 c=5.2436 alpha=60.00 beta=60.00 gamma=60.00
With the nearest neighbours (Å) after each atom.
Fractional positions:
Pm  0.2500  0.2500  0.2500  4 Hg 3.21, 4 Si 3.21
Pm  0.7500  0.7500  0.7500  4 Hg 3.21, 4 Si 3.21
Si  0.0000  0.0000  0.0000  8 Pm 3.21
Hg  0.5000  0.5000  0.5000  8 Pm 3.21

Computed properties:
formation enthalpy at 0 K = -470 meV/atom

Below is a relaxed La2PbSe4 crystal, with properties calculated at the PBE level.

Unit cell a=7.9410 b=7.9410 c=7.9410 alpha=109.42 beta=109.42 gamma=109.58
With the nearest neighbours (Å) after each atom.
Fractional positions:
La  0.0075  0.1250  0.3825  8 Se 3.05-3.29
La  0.3750  0.9925  0.1175  8 Se 3.05-3.29
La  0.7425  0.6250  0.6175  8 Se 3.05-3.29
La  0.8750  0.2575  0.8825  8 Se 3.05-3.29
Pb  0.2500  0.7500  0.5000  8 Se 3.12-3.30
Pb  0.5000  0.5000  0.0000  8 Se 3.12-3.30
Se  0.1161  0.5186  0.7479  4 La 3.05-3.29, 2 Pb 3.12-3.30
Se  0.1183  0.0208  0.7521  4 La 3.05-3.29, 2 Pb 3.12-3.30
Se  0.2686  0.3661  0.2479  4 La 3.05-3.29, 2 Pb 3.12-3.30
Se  0.4814  0.2292  0.5975  4 La 3.05-3.29, 2 Pb 3.12-3.30
Se  0.6317  0.8839  0.4025  4 La 3.05-3.29, 2 Pb 3.12-3.30
Se  0.6339  0.8817  0.9025  4 La 3.05-3.29, 2 Pb 3.12-3.30
Se  0.7708  0.3683  0.2521  4 La 3.05-3.29, 2 Pb 3.12-3.30
Se  0.9792  0.7314  0.0975  4 La 3.05-3.29, 2 Pb 3.12-3.30

Computed properties:
formation enthalpy at 0 K = -1865 meV/atom

> Number 5 is which compound?

SbF5

> formation enthalpy at 0 K of number 5 (SbF5)?

-2311 meV/atom